Th3Pd4 (meta-GGA r2SCAN, relaxed); total energy = -45.44 eV per atom; space group = R-3; E_form = -5.83 eV per formula unit
1.0
6.919 3.995 1.924
-6.919 3.995 1.924
0.000 -7.989 1.924
Th Pd
6 8
direct
0.027 0.277 0.406
0.277 0.406 0.027
0.406 0.027 0.277
0.594 0.973 0.723
0.723 0.594 0.973
0.973 0.723 0.594
0.000 0.000 0.000
0.065 0.568 0.228
0.228 0.065 0.568
0.432 0.772 0.935
0.500 0.500 0.500
0.568 0.228 0.065
0.772 0.935 0.432
0.935 0.432 0.772

---

ThPd (meta-GGA r2SCAN, relaxed); total energy = -49.00 eV per atom; space group = Pnma; E_form = -1.56 eV per formula unit
1.0
7.290 0.000 0.000
0.000 4.572 0.000
0.000 0.000 5.865
Th Pd
4 4
direct
0.179 0.250 0.140
0.321 0.750 0.640
0.679 0.250 0.360
0.821 0.750 0.860
0.048 0.250 0.649
0.452 0.750 0.149
0.548 0.250 0.851
0.952 0.750 0.351

---

Th2Pd (meta-GGA r2SCAN, relaxed); total energy = -57.16 eV per atom; space group = I4/mcm; E_form = -1.56 eV per formula unit
1.0
-3.662 3.662 2.979
3.662 -3.662 2.979
3.662 3.662 -2.979
Th Pd
4 2
direct
0.162 0.662 0.824
0.338 0.162 0.500
0.662 0.838 0.500
0.838 0.338 0.176
0.250 0.250 0.000
0.750 0.750 0.000

---

Ti3Pd5 (meta-GGA r2SCAN, relaxed); total energy = -19.83 eV per atom; space group = P4/mmm; E_form = -5.01 eV per formula unit
1.0
3.280 0.000 0.000
0.000 3.280 0.000
0.000 0.000 11.455
Ti Pd
3 5
direct
0.000 0.000 0.000
0.500 0.500 0.362
0.500 0.500 0.638
0.000 0.000 0.258
0.000 0.000 0.500
0.000 0.000 0.742
0.500 0.500 0.120
0.500 0.500 0.880

---

Ti3Pd (meta-GGA r2SCAN, relaxed); total energy = -15.78 eV per atom; space group = Pm-3n; E_form = -1.36 eV per formula unit
1.0
5.058 0.000 0.000
0.000 5.058 0.000
0.000 0.000 5.058
Ti Pd
6 2
direct
0.000 0.250 0.500
0.000 0.750 0.500
0.250 0.500 0.000
0.500 0.000 0.250
0.500 0.000 0.750
0.750 0.500 0.000
0.000 0.000 0.000
0.500 0.500 0.500

---

Ti2Pd3 (meta-GGA r2SCAN, relaxed); total energy = -19.57 eV per atom; space group = Cmcm; E_form = -3.07 eV per formula unit
1.0
7.152 -2.350 0.000
7.152 2.350 0.000
0.000 0.000 4.598
Ti Pd
4 6
direct
0.121 0.664 0.750
0.336 0.879 0.750
0.664 0.121 0.250
0.879 0.336 0.250
0.089 0.522 0.250
0.298 0.702 0.250
0.478 0.911 0.250
0.522 0.089 0.750
0.702 0.298 0.750
0.911 0.478 0.750

---

TiPd2 (meta-GGA r2SCAN, relaxed); total energy = -20.27 eV per atom; space group = Immm; E_form = -1.95 eV per formula unit
1.0
-1.546 1.707 4.326
1.546 -1.707 4.326
1.546 1.707 -4.326
Ti Pd
1 2
direct
0.000 0.000 0.000
0.342 0.342 0.000
0.658 0.658 0.000

---

TiZn2Pd (meta-GGA r2SCAN, relaxed); total energy = -13.81 eV per atom; space group = Fm-3m; E_form = -1.53 eV per formula unit
1.0
0.000 3.063 3.063
3.063 0.000 3.063
3.063 3.063 0.000
Ti Zn Pd
1 2 1
direct
0.000 0.000 0.000
0.250 0.250 0.250
0.750 0.750 0.750
0.500 0.500 0.500

---

Tl2Pd (meta-GGA r2SCAN, relaxed); total energy = -43.27 eV per atom; space group = C2/c; E_form = -0.48 eV per formula unit
1.0
4.459 -3.410 0.000
4.459 3.410 0.000
-3.763 0.000 4.461
Tl Pd
4 2
direct
0.000 0.332 0.166
0.000 0.668 0.834
0.332 0.000 0.666
0.668 0.000 0.334
0.499 0.501 0.750
0.501 0.499 0.250

---

Tl9Pd13 (meta-GGA r2SCAN, relaxed); total energy = -35.56 eV per atom; space group = P-3m1; E_form = -5.19 eV per formula unit
1.0
9.070 0.000 0.000
-4.535 7.855 0.000
0.000 0.000 5.723
Tl Pd
9 13
direct
0.000 0.000 0.000
0.193 0.385 0.746
0.193 0.807 0.746
0.333 0.667 0.249
0.385 0.193 0.254
0.615 0.807 0.746
0.667 0.333 0.751
0.807 0.193 0.254
0.807 0.615 0.254
0.000 0.000 0.500
0.000 0.500 0.000
0.000 0.500 0.500
0.159 0.318 0.253
0.159 0.841 0.253
0.318 0.159 0.747
0.500 0.000 0.000
0.500 0.000 0.500
0.500 0.500 0.000
0.500 0.500 0.500
0.682 0.841 0.253
0.841 0.159 0.747
0.841 0.682 0.747

---

TmPd3 (meta-GGA r2SCAN, relaxed); total energy = -26.95 eV per atom; space group = Pm-3m; E_form = -3.82 eV per formula unit
1.0
4.059 0.000 0.000
0.000 4.059 0.000
0.000 0.000 4.059
Tm Pd
1 3
direct
0.000 0.000 0.000
0.000 0.500 0.500
0.500 0.000 0.500
0.500 0.500 0.000

---

TmZnPd2 (meta-GGA r2SCAN, relaxed); total energy = -23.28 eV per atom; space group = Fm-3m; E_form = -3.17 eV per formula unit
1.0
0.000 3.249 3.249
3.249 0.000 3.249
3.249 3.249 0.000
Tm Zn Pd
1 1 2
direct
0.000 0.000 0.000
0.500 0.500 0.500
0.250 0.250 0.250
0.750 0.750 0.750

---

Q: What is the formula in the seventh record?
A: TiPd2

---

Q: What is the total energy in the third record?
A: -57.16 eV per atom

---

Q: Which of these has the lowest total energy?
A: Th2Pd